Record 1
This record from the Materials Project describes a relaxed Na5ZrTa3Si6O24 crystal. The functional is PBE.

Results
total energy after the MP2020 corrections	-8.321	eV/atom
total magnetization	0.00	μB per atom
energy	-7.899	eV per atom
energy relative to the elements	-3.141	eV per atom

Structure (POSCAR):
```
Na5ZrTa3Si6O24
1.0
9.021 0.000 0.000
4.498 7.841 0.000
0.001 0.084 22.767
Na Zr Ta Si O
15 3 9 18 72
Direct
0.000 0.000 0.000 Na
0.000 0.367 0.749 Na
0.025 0.677 0.916 Na
0.294 0.672 0.418 Na
0.327 0.339 0.831 Na
0.333 0.333 0.334 Na
0.358 0.011 0.250 Na
0.627 0.010 0.749 Na
0.653 0.672 0.166 Na
0.654 0.678 0.665 Na
0.663 0.303 0.916 Na
0.689 0.340 0.584 Na
0.963 0.340 0.085 Na
0.993 0.006 0.501 Na
0.996 0.636 0.250 Na
0.327 0.344 0.684 Zr
0.333 0.340 0.186 Zr
0.999 0.006 0.854 Zr
0.326 0.335 0.480 Ta
0.327 0.336 0.981 Ta
0.656 0.673 0.813 Ta
0.656 0.677 0.021 Ta
0.660 0.669 0.314 Ta
0.661 0.676 0.520 Ta
0.989 0.010 0.356 Ta
0.993 0.002 0.146 Ta
0.999 0.001 0.646 Ta
0.034 0.339 0.584 Si
0.036 0.632 0.083 Si
0.281 0.719 0.252 Si
0.287 0.002 0.750 Si
0.324 0.633 0.581 Si
0.329 0.044 0.085 Si
0.371 0.672 0.918 Si
0.373 0.963 0.417 Si
0.618 0.045 0.584 Si
0.619 0.338 0.083 Si
0.654 0.963 0.917 Si
0.662 0.381 0.419 Si
0.703 0.297 0.750 Si
0.705 0.006 0.252 Si
0.949 0.385 0.918 Si
0.950 0.671 0.417 Si
0.988 0.295 0.250 Si
0.995 0.714 0.751 Si
0.008 0.172 0.590 O
0.017 0.821 0.091 O
0.020 0.168 0.306 O
0.020 0.798 0.810 O
0.111 0.373 0.643 O
0.112 0.513 0.141 O
0.135 0.376 0.925 O
0.142 0.506 0.424 O
0.152 0.036 0.090 O
0.153 0.521 0.746 O
0.155 0.821 0.590 O
0.157 0.314 0.247 O
0.157 0.536 0.026 O
0.161 0.312 0.527 O
0.161 0.812 0.309 O
0.165 0.041 0.806 O
0.180 0.832 0.915 O
0.187 0.973 0.409 O
0.188 0.846 0.195 O
0.189 0.975 0.693 O
0.291 0.537 0.247 O
0.295 0.175 0.028 O
0.298 0.539 0.524 O
0.310 0.168 0.744 O
0.353 0.151 0.425 O
0.358 0.497 0.925 O
0.359 0.126 0.143 O
0.370 0.510 0.638 O
0.465 0.834 0.472 O
0.468 0.709 0.258 O
0.471 0.694 0.974 O
0.477 0.833 0.757 O
0.486 0.371 0.424 O
0.487 0.154 0.925 O
0.491 0.870 0.358 O
0.495 0.857 0.075 O
0.498 0.647 0.573 O
0.499 0.638 0.862 O
0.501 0.374 0.140 O
0.508 0.124 0.643 O
0.514 0.166 0.248 O
0.518 0.311 0.745 O
0.521 0.177 0.528 O
0.526 0.311 0.025 O
0.629 0.510 0.362 O
0.629 0.870 0.859 O
0.640 0.857 0.573 O
0.650 0.501 0.074 O
0.687 0.835 0.973 O
0.688 0.473 0.476 O
0.692 0.831 0.258 O
0.695 0.483 0.758 O
0.785 0.182 0.809 O
0.804 0.037 0.590 O
0.805 0.028 0.308 O
0.811 0.171 0.090 O
0.817 0.702 0.757 O
0.821 0.487 0.258 O
0.824 0.982 0.914 O
0.826 0.700 0.473 O
0.828 0.207 0.693 O
0.828 0.479 0.975 O
0.830 0.194 0.409 O
0.832 0.971 0.195 O
0.841 0.503 0.574 O
0.850 0.645 0.074 O
0.857 0.645 0.359 O
0.860 0.508 0.860 O
0.959 0.202 0.914 O
0.959 0.845 0.695 O
0.962 0.204 0.192 O
0.977 0.837 0.410 O
```

***

Record 2
This record from the Materials Project describes a relaxed Na3ZrTaSi3O12 crystal. The functional is PBE.

Results
total energy after the MP2020 corrections	-8.129	eV/atom
total magnetization	0.00	μB per atom
energy	-7.717	eV per atom
energy relative to the elements	-3.128	eV per atom

Structure (POSCAR):
```
Na3ZrTaSi3O12
1.0
1.428 -10.175 -12.100
4.329 -5.940 5.505
-7.047 0.264 5.826
Na Zr Ta Si O
12 4 4 12 48
Direct
0.254 0.728 0.998 Na
0.754 0.772 0.498 Na
0.754 0.228 0.998 Na
0.254 0.272 0.498 Na
0.500 0.110 0.745 Na
0.500 0.890 0.245 Na
0.000 0.610 0.745 Na
0.000 0.390 0.245 Na
0.188 0.943 0.293 Na
0.188 0.057 0.793 Na
0.688 0.443 0.293 Na
0.688 0.557 0.793 Na
0.106 0.749 0.567 Zr
0.106 0.251 0.067 Zr
0.606 0.249 0.567 Zr
0.606 0.751 0.067 Zr
0.893 0.754 0.934 Ta
0.893 0.246 0.434 Ta
0.393 0.254 0.934 Ta
0.393 0.746 0.434 Ta
0.995 0.959 0.753 Si
0.995 0.041 0.253 Si
0.495 0.459 0.753 Si
0.495 0.541 0.253 Si
0.355 0.899 0.756 Si
0.646 0.890 0.743 Si
0.646 0.110 0.243 Si
0.355 0.101 0.256 Si
0.855 0.399 0.756 Si
0.146 0.390 0.743 Si
0.146 0.610 0.243 Si
0.855 0.601 0.256 Si
0.154 0.567 0.745 O
0.852 0.580 0.759 O
0.852 0.420 0.259 O
0.154 0.433 0.245 O
0.654 0.067 0.745 O
0.352 0.080 0.759 O
0.352 0.920 0.259 O
0.654 0.933 0.245 O
0.432 0.575 0.581 O
0.566 0.556 0.932 O
0.566 0.444 0.432 O
0.432 0.425 0.081 O
0.932 0.075 0.581 O
0.066 0.056 0.932 O
0.066 0.944 0.432 O
0.932 0.925 0.081 O
0.256 0.840 0.750 O
0.742 0.805 0.757 O
0.742 0.195 0.257 O
0.256 0.160 0.250 O
0.756 0.340 0.750 O
0.242 0.305 0.757 O
0.242 0.695 0.257 O
0.756 0.660 0.250 O
0.356 0.859 0.578 O
0.645 0.841 0.913 O
0.645 0.159 0.413 O
0.356 0.141 0.078 O
0.856 0.359 0.578 O
0.145 0.341 0.913 O
0.145 0.659 0.413 O
0.856 0.641 0.078 O
0.461 0.843 0.935 O
0.536 0.827 0.562 O
0.536 0.173 0.062 O
0.461 0.157 0.435 O
0.961 0.343 0.935 O
0.036 0.327 0.562 O
0.036 0.673 0.062 O
0.961 0.657 0.435 O
0.073 0.852 0.741 O
0.911 0.856 0.758 O
0.911 0.144 0.258 O
0.073 0.148 0.241 O
0.573 0.352 0.741 O
0.411 0.356 0.758 O
0.411 0.644 0.258 O
0.573 0.648 0.241 O
```

***

Record 3
This record from the Materials Project describes a relaxed NaTbSi2O6 crystal. The functional is PBE.

Results
total energy after the MP2020 corrections	-7.984	eV/atom
total magnetization	0.00	μB per atom
distance to the lowest polymorph of the same formula	1.4	meV/atom
energy	-7.571	eV per atom
energy relative to the elements	-3.334	eV per atom

Structure (POSCAR):
```
NaTbSi2O6
1.0
5.484 0.000 0.000
0.000 13.904 0.000
-2.637 0.000 7.233
Na Tb Si O
4 4 8 24
Direct
0.139 0.232 0.043 Na
0.139 0.268 0.543 Na
0.861 0.732 0.457 Na
0.861 0.768 0.957 Na
0.018 0.506 0.752 Tb
0.018 0.994 0.252 Tb
0.982 0.006 0.748 Tb
0.982 0.494 0.248 Tb
0.418 0.638 0.068 Si
0.418 0.862 0.568 Si
0.428 0.640 0.644 Si
0.428 0.860 0.144 Si
0.572 0.140 0.856 Si
0.572 0.360 0.356 Si
0.582 0.138 0.432 Si
0.582 0.362 0.932 Si
0.201 0.563 0.082 O
0.201 0.937 0.582 O
0.210 0.566 0.518 O
0.210 0.934 0.018 O
0.269 0.133 0.831 O
0.269 0.367 0.331 O
0.284 0.126 0.303 O
0.284 0.374 0.803 O
0.315 0.750 0.080 O
0.315 0.750 0.580 O
0.384 0.623 0.846 O
0.384 0.877 0.346 O
0.616 0.123 0.654 O
0.616 0.377 0.154 O
0.685 0.250 0.420 O
0.685 0.250 0.920 O
0.716 0.626 0.197 O
0.716 0.874 0.697 O
0.731 0.633 0.669 O
0.731 0.867 0.169 O
0.790 0.066 0.982 O
0.790 0.434 0.482 O
0.799 0.063 0.418 O
0.799 0.437 0.918 O
```

***

Record 4
This record from the Materials Project describes a relaxed NaTbSi2O6 crystal. The functional is PBE.

Results
total energy after the MP2020 corrections	-7.985	eV/atom
distance to the lowest polymorph of the same formula	0.0	meV/atom
energy	-7.573	eV per atom
energy relative to the elements	-3.335	eV per atom

Structure (POSCAR):
```
NaTbSi2O6
1.0
5.550 0.000 0.000
-1.616 9.336 0.000
-1.237 -4.770 8.482
Na Tb Si O
3 3 6 18
Direct
0.000 0.000 0.000 Na
0.171 0.599 0.932 Na
0.829 0.401 0.068 Na
0.000 0.500 0.500 Tb
0.319 0.779 0.361 Tb
0.681 0.221 0.639 Tb
0.106 0.122 0.371 Si
0.224 0.233 0.876 Si
0.390 0.363 0.252 Si
0.610 0.637 0.748 Si
0.776 0.767 0.124 Si
0.894 0.878 0.629 Si
0.019 0.320 0.838 O
0.040 0.757 0.513 O
0.097 0.031 0.788 O
0.246 0.276 0.063 O
0.260 0.224 0.297 O
0.290 0.526 0.350 O
0.301 0.053 0.449 O
0.311 0.609 0.721 O
0.495 0.275 0.841 O
0.505 0.725 0.159 O
0.689 0.391 0.279 O
0.699 0.947 0.551 O
0.710 0.474 0.650 O
0.740 0.776 0.703 O
0.754 0.724 0.937 O
0.903 0.969 0.212 O
0.960 0.243 0.487 O
0.981 0.680 0.162 O
```

***

Record 5
This record from the Materials Project describes a relaxed Na2Ti2Si4O13 crystal. The functional is PBE.

Results
total energy after the MP2020 corrections	-8.154	eV/atom
total magnetization	0.00	μB per atom
energy	-7.728	eV per atom
energy relative to the elements	-3.179	eV per atom

Structure (POSCAR):
```
Na2Ti2Si4O13
1.0
12.421 -4.375 0.000
12.421 4.375 0.000
-0.889 0.000 5.187
Na Ti Si O
4 4 8 26
Direct
0.049 0.653 0.700 Na
0.347 0.951 0.800 Na
0.653 0.049 0.200 Na
0.951 0.347 0.300 Na
0.258 0.442 0.212 Ti
0.442 0.258 0.712 Ti
0.558 0.742 0.288 Ti
0.742 0.558 0.788 Ti
0.038 0.834 0.221 Si
0.141 0.326 0.774 Si
0.166 0.962 0.279 Si
0.326 0.141 0.274 Si
0.674 0.859 0.726 Si
0.834 0.038 0.721 Si
0.859 0.674 0.226 Si
0.962 0.166 0.779 Si
0.042 0.112 0.501 O
0.054 0.532 0.271 O
0.112 0.042 0.001 O
0.138 0.654 0.128 O
0.148 0.852 0.250 O
0.204 0.212 0.008 O
0.212 0.204 0.508 O
0.217 0.382 0.829 O
0.317 0.449 0.544 O
0.346 0.862 0.372 O
0.382 0.217 0.329 O
0.449 0.317 0.044 O
0.468 0.946 0.229 O
0.532 0.054 0.771 O
0.551 0.683 0.956 O
0.618 0.783 0.671 O
0.654 0.138 0.628 O
0.683 0.551 0.456 O
0.783 0.618 0.171 O
0.788 0.796 0.492 O
0.796 0.788 0.992 O
0.852 0.148 0.750 O
0.862 0.346 0.872 O
0.888 0.958 0.999 O
0.946 0.468 0.729 O
0.958 0.888 0.499 O
```

***

Record 6
This record from the Materials Project describes a relaxed Na2TiSiO5 crystal. The functional is PBE.

Results
total energy after the MP2020 corrections	-7.523	eV/atom
total magnetization	0.00	μB per atom
energy	-7.141	eV per atom
energy relative to the elements	-3.000	eV per atom

Structure (POSCAR):
```
Na2TiSiO5
1.0
6.535 0.000 0.000
0.000 6.535 0.000
0.000 0.000 5.175
Na Ti Si O
4 2 2 10
Direct
0.000 0.000 0.000 Na
0.000 0.500 0.000 Na
0.500 0.000 0.000 Na
0.500 0.500 0.000 Na
0.250 0.250 0.436 Ti
0.750 0.750 0.564 Ti
0.250 0.750 0.500 Si
0.750 0.250 0.500 Si
0.043 0.750 0.682 O
0.250 0.250 0.769 O
0.250 0.543 0.318 O
0.250 0.957 0.318 O
0.457 0.750 0.682 O
0.543 0.250 0.318 O
0.750 0.043 0.682 O
0.750 0.457 0.682 O
0.750 0.750 0.231 O
0.957 0.250 0.318 O
```